Mg3V6Fe4O24 | Materials Project | PBE+U | relaxed; VASP energy = -262.114 eV per cell; SG = P-1 (2); E (MP2020) = -0.2958 Ha/atom; total moment = 20.00 Bohr magnetons per cell
1.0
6.7652 0.0000 0.0000
-1.7495 8.0071 0.0000
-2.5935 -3.2722 9.0347
Mg V Fe O
3 6 4 24
direct
0.0000 0.0000 0.0000 Mg
0.2792 0.7864 0.2933 Mg
0.7208 0.2136 0.7067 Mg
0.1037 0.5966 0.8330 V
0.2218 0.1588 0.7702 V
0.4038 0.2274 0.3711 V
0.5962 0.7726 0.6289 V
0.7782 0.8412 0.2298 V
0.8963 0.4034 0.1670 V
0.0420 0.7101 0.5159 Fe
0.3803 0.4510 0.1070 Fe
0.6197 0.5490 0.8930 Fe
0.9580 0.2899 0.4841 Fe
0.0136 0.2214 0.6667 O
0.0740 0.5561 0.6435 O
0.1242 0.8091 0.9147 O
0.1316 0.5279 0.1523 O
0.1800 0.9406 0.6832 O
0.2127 0.1975 0.9536 O
0.2363 0.2841 0.4667 O
0.2770 0.0120 0.2473 O
0.3328 0.5407 0.9257 O
0.3488 0.7554 0.4966 O
0.4408 0.3635 0.2676 O
0.4723 0.2743 0.7706 O
0.5277 0.7257 0.2294 O
0.5592 0.6365 0.7324 O
0.6512 0.2446 0.5034 O
0.6672 0.4593 0.0743 O
0.7230 0.9880 0.7527 O
0.7637 0.7159 0.5333 O
0.7873 0.8025 0.0464 O
0.8200 0.0594 0.3168 O
0.8684 0.4721 0.8477 O
0.8758 0.1909 0.0853 O
0.9260 0.4439 0.3565 O
0.9864 0.7786 0.3333 O

=====

MgV2Fe2O8 | Materials Project | PBE+U | relaxed; VASP energy = -91.382 eV per cell; SG = Pm (6); energy above the most stable polymorph in this dataset = 9 meV/atom; E (MP2020) = -0.2962 Ha/atom; total moment = 8.00 Bohr magnetons per cell
1.0
5.2922 0.0000 0.0000
0.0000 6.4723 0.0000
-2.2182 0.0000 4.8060
Mg V Fe O
1 2 2 8
direct
0.0000 0.0000 0.0000 Mg
0.0117 0.5000 0.9822 V
0.3081 0.0000 0.6878 V
0.6542 0.2563 0.3415 Fe
0.6542 0.7437 0.3415 Fe
0.3758 0.5000 0.1172 O
0.4194 0.2071 0.5730 O
0.4194 0.7929 0.5730 O
0.4201 0.0000 0.0662 O
0.8757 0.5000 0.6175 O
0.9016 0.2750 0.0926 O
0.9016 0.7250 0.0926 O
0.9307 0.0000 0.5784 O

=====

Mg6VFeO8 | Materials Project | PBE+U | relaxed; VASP energy = -99.567 eV per cell; SG = P4/mmm (123); energy above the most stable polymorph in this dataset = 69 meV/atom; E (MP2020) = -0.2504 Ha/atom; total moment = 7.00 Bohr magnetons per cell
1.0
4.2896 0.0000 0.0000
0.0000 4.2896 0.0000
0.0000 0.0000 8.6052
Mg V Fe O
6 1 1 8
direct
0.0000 0.0000 0.0000 Mg
0.0000 0.5000 0.2481 Mg
0.0000 0.5000 0.7519 Mg
0.5000 0.0000 0.2481 Mg
0.5000 0.0000 0.7519 Mg
0.5000 0.5000 0.0000 Mg
0.0000 0.0000 0.5000 V
0.5000 0.5000 0.5000 Fe
0.0000 0.0000 0.2447 O
0.0000 0.0000 0.7553 O
0.0000 0.5000 0.0000 O
0.0000 0.5000 0.5000 O
0.5000 0.0000 0.0000 O
0.5000 0.0000 0.5000 O
0.5000 0.5000 0.2456 O
0.5000 0.5000 0.7544 O

=====

MgV5FeO12 | Materials Project | PBE+U | relaxed; VASP energy = -140.704 eV per cell; SG = P1 (1); E (MP2020) = -0.3089 Ha/atom; total moment = 9.00 Bohr magnetons per cell
1.0
5.7759 0.0000 0.0000
2.1090 6.5603 0.0000
1.9264 0.7391 6.6488
Mg V Fe O
1 5 1 12
direct
0.0000 0.0000 0.0000 Mg
0.0014 0.5471 0.8511 V
0.0522 0.6181 0.3309 V
0.0534 0.0854 0.4653 V
0.5406 0.3368 0.0393 V
0.5592 0.8790 0.6517 V
0.5408 0.7864 0.1726 Fe
0.0176 0.3485 0.3563 O
0.0939 0.6321 0.6024 O
0.1506 0.9068 0.2458 O
0.2282 0.9911 0.6984 O
0.3305 0.3837 0.8925 O
0.4325 0.5049 0.2240 O
0.5958 0.0825 0.1399 O
0.6209 0.7083 0.8649 O
0.6692 0.7463 0.4408 O
0.7230 0.0585 0.6203 O
0.8721 0.3118 0.9186 O
0.9492 0.7094 0.0563 O

=====

MgV2Fe2O8 | Materials Project | PBE+U | relaxed; VASP energy = -89.423 eV per cell; SG = P-1 (2); energy above the most stable polymorph in this dataset = 160 meV/atom; E (MP2020) = -0.2907 Ha/atom; total moment = 8.00 Bohr magnetons per cell
1.0
5.3446 0.0000 0.0000
2.1884 4.8881 0.0000
0.3741 0.3415 6.3400
Mg V Fe O
1 2 2 8
direct
0.0000 0.0000 0.0000 Mg
0.1682 0.1634 0.3008 V
0.8318 0.8366 0.6992 V
0.5000 0.5000 0.0000 Fe
0.5000 0.5000 0.5000 Fe
0.1911 0.7342 0.7542 O
0.2671 0.2661 0.5140 O
0.2714 0.8037 0.2494 O
0.2776 0.2749 0.0690 O
0.7224 0.7251 0.9310 O
0.7286 0.1963 0.7506 O
0.7329 0.7339 0.4860 O
0.8089 0.2658 0.2458 O

=====

Mg6VFeO8 | Materials Project | PBE+U | relaxed; VASP energy = -100.664 eV per cell; SG = P4/mmm (123); energy above the most stable polymorph in this dataset = 0 meV/atom; E (MP2020) = -0.2529 Ha/atom; total moment = 7.02 Bohr magnetons per cell
1.0
4.3210 0.0000 0.0000
0.0000 4.3210 0.0000
0.0000 0.0000 8.5414
Mg V Fe O
6 1 1 8
direct
0.0000 0.0000 0.0000 Mg
0.0000 0.0000 0.5000 Mg
0.0000 0.5000 0.2487 Mg
0.0000 0.5000 0.7513 Mg
0.5000 0.0000 0.2487 Mg
0.5000 0.0000 0.7513 Mg
0.5000 0.5000 0.5000 V
0.5000 0.5000 0.0000 Fe
0.0000 0.0000 0.2508 O
0.0000 0.0000 0.7492 O
0.0000 0.5000 0.0000 O
0.0000 0.5000 0.5000 O
0.5000 0.0000 0.0000 O
0.5000 0.0000 0.5000 O
0.5000 0.5000 0.2467 O
0.5000 0.5000 0.7533 O

=====

MgV3FeO8 | Materials Project | PBE+U | relaxed; VASP energy = -93.798 eV per cell; SG = P1 (1); energy above the most stable polymorph in this dataset = 32 meV/atom; E (MP2020) = -0.3015 Ha/atom; total moment = 7.00 Bohr magnetons per cell
1.0
5.3433 0.0000 0.0000
-0.0941 5.7351 0.0000
-0.0760 -0.1042 6.9011
Mg V Fe O
1 3 1 8
direct
0.0000 0.0000 0.0000 Mg
0.4934 0.6500 0.0018 V
0.4984 0.1431 0.2623 V
0.9938 0.5073 0.7332 V
0.0020 0.9920 0.5207 Fe
0.0466 0.1914 0.7657 O
0.0711 0.6562 0.5250 O
0.1455 0.6911 0.9372 O
0.1719 0.0785 0.2564 O
0.5606 0.4296 0.2015 O
0.6347 0.0822 0.4770 O
0.6405 0.9599 0.0788 O
0.6643 0.5612 0.7845 O

=====

MgV2Fe2O8 | Materials Project | PBE+U | relaxed; VASP energy = -91.500 eV per cell; SG = P1 (1); energy above the most stable polymorph in this dataset = 0 meV/atom; E (MP2020) = -0.2966 Ha/atom; total moment = 8.00 Bohr magnetons per cell
1.0
5.1954 0.0000 0.0000
-2.0668 4.9672 0.0000
-0.0064 -0.0060 6.4157
Mg V Fe O
1 2 2 8
direct
0.0000 0.0000 0.0000 Mg
0.0804 0.2019 0.4999 V
0.7652 0.4697 0.0000 V
0.4225 0.8338 0.2626 Fe
0.4226 0.8340 0.7371 Fe
0.1339 0.6540 0.0000 O
0.1953 0.0900 0.2734 O
0.1948 0.0895 0.7266 O
0.2111 0.5545 0.4998 O
0.6683 0.6149 0.7952 O
0.6687 0.6148 0.2050 O
0.6712 0.1069 0.0000 O
0.7187 0.0688 0.4997 O